Entry from Materials Project: a relaxed Li9Mn2Co5O16 crystal (PBE with a Hubbard U).

Lattice parameters (Å, degrees): 5.766 5.863 8.953 89.51 71.31 89.82
Space group P1 (No. 1)
Inequivalent atoms, fractional coordinates:
Li (0.000, 0.000, 0.000)
Li (0.003, 0.511, 0.998)
Li (0.127, 0.754, 0.237)
Li (0.254, 0.511, 0.499)
Li (0.376, 0.264, 0.752)
Li (0.503, 0.003, 0.992)
Li (0.638, 0.753, 0.237)
Li (0.749, 0.510, 0.501)
Li (0.868, 0.264, 0.763)
Mn (0.127, 0.262, 0.246)
Mn (0.253, 0.007, 0.497)
Co (0.374, 0.752, 0.755)
Co (0.498, 0.510, 0.002)
Co (0.640, 0.266, 0.231)
Co (0.752, 0.006, 0.495)
Co (0.872, 0.751, 0.755)
O (0.000, 0.788, 0.498)
O (0.008, 0.233, 0.483)
O (0.130, 0.532, 0.740)
O (0.134, 0.007, 0.729)
O (0.254, 0.273, 0.022)
O (0.272, 0.741, 0.988)
O (0.361, 0.490, 0.259)
O (0.362, 0.025, 0.265)
O (0.500, 0.784, 0.496)
O (0.507, 0.228, 0.490)
O (0.627, 0.510, 0.746)
O (0.627, 0.985, 0.743)
O (0.730, 0.269, 0.012)
O (0.739, 0.740, 0.990)
O (0.882, 0.487, 0.256)
O (0.892, 0.028, 0.242)

Calculated values
E_tot = -0.427 Ry/atom
total magnetic moment = 8.00 μB/cell



Entry from Materials Project: a relaxed LiMnBO3 crystal (PBE with a Hubbard U).

Lattice parameters (Å, degrees): 5.599 7.699 7.504 90.00 116.89 90.00
Space group P2_1/c (No. 14)
Inequivalent atoms, fractional coordinates:
Li (0.145, 0.062, 0.408)
Mn (0.400, 0.749, 0.257)
B (0.197, 0.128, 0.806)
O (0.057, 0.628, 0.714)
O (0.269, 0.013, 0.693)
O (0.391, 0.250, 0.422)

Calculated values
E_tot = -0.534 Ry/atom
total magnetic moment = 20.00 μB/cell



Entry from Materials Project: a relaxed K3ScV2O8 crystal (PBE with a Hubbard U).

Lattice parameters (Å, degrees): 5.8339 5.8339 7.4869 90.00 90.00 120.00
Space group P-3m1 (No. 164)
Inequivalent atoms, fractional coordinates:
K (0.0000, 0.0000, 0.0000)
K (0.3333, 0.6667, 0.6765)
Sc (0.0000, 0.0000, 0.5000)
V (0.3333, 0.6667, 0.2462)
O (0.1696, 0.3391, 0.3302)
O (0.3333, 0.6667, 0.0217)

Calculated values
E_tot = -0.506 Ry/atom
total magnetic moment = 0.00 μB/cell



Entry from Materials Project: a relaxed GdCrO3 crystal (PBE with a Hubbard U).

Lattice parameters (Å, degrees): 5.628 7.725 5.379 90.00 90.00 90.00
Space group Pnma (No. 62)
Inequivalent atoms, fractional coordinates:
Gd (0.062, 0.250, 0.017)
Cr (0.000, 0.000, 0.500)
O (0.036, 0.750, 0.395)
O (0.200, 0.554, 0.803)

Calculated values
E_tot = -0.741 Ry/atom



Entry from Materials Project: a relaxed Sr2YCoCu2O7 crystal (PBE with a Hubbard U).

Lattice parameters (Å, degrees): 23.155 5.489 5.427 90.00 90.00 90.00
Space group Ima2 (No. 46)
Inequivalent atoms, fractional coordinates:
Sr (0.152, 0.012, 0.000)
Y (0.000, 0.000, 0.000)
Co (0.250, 0.564, 0.967)
Cu (0.072, 0.501, 0.002)
O (0.062, 0.245, 0.247)
O (0.065, 0.746, 0.255)
O (0.176, 0.035, 0.522)
O (0.250, 0.612, 0.608)

Calculated values
E_tot = -0.470 Ry/atom
total magnetic moment = 15.70 μB/cell



Entry from Materials Project: a relaxed Cr3B7O13F crystal (PBE with a Hubbard U).

Lattice parameters (Å, degrees): 12.216 12.216 12.216 90.00 90.00 90.00
Space group F-43c (No. 219)
Inequivalent atoms, fractional coordinates:
Cr (0.000, 0.000, 0.250)
B (0.000, 0.250, 0.250)
B (0.170, 0.170, 0.170)
O (0.070, 0.154, 0.230)
O (0.250, 0.250, 0.250)
F (0.000, 0.000, 0.000)

Calculated values
E_tot = -0.584 Ry/atom
total magnetic moment = 95.99 μB/cell



Entry from Materials Project: a relaxed CaCr4O6 crystal (PBE with a Hubbard U).

Lattice parameters (Å, degrees): 3.104 10.350 15.144 90.00 90.00 90.00
Space group Cmcm (No. 63)
Inequivalent atoms, fractional coordinates:
Ca (0.000, 0.163, 0.250)
Cr (0.000, 0.089, 0.633)
Cr (0.000, 0.363, 0.543)
O (0.000, 0.000, 0.000)
O (0.000, 0.174, 0.750)
O (0.000, 0.289, 0.086)
O (0.000, 0.463, 0.657)

Calculated values
E_tot = -0.559 Ry/atom
total magnetic moment = 56.00 μB/cell



Entry from Materials Project: a relaxed LiFeF6 crystal (PBE with a Hubbard U).

Lattice parameters (Å, degrees): 4.738 4.738 8.722 90.00 90.00 90.00
Space group P4_2nm (No. 102)
Inequivalent atoms, fractional coordinates:
Li (0.000, 0.000, 0.000)
Fe (0.000, 0.000, 0.653)
F (0.184, 0.184, 0.803)
F (0.190, 0.190, 0.509)
F (0.232, 0.232, 0.153)

Calculated values
E_tot = -0.315 Ry/atom
maximum piezoelectric response = 0.08 C/m2



Number 1: E_form -176 kJ/mol of atoms, total energy after the MP2020 corrections -208.425 eV per cell. Number 2: E_form -237 kJ/mol of atoms, total energy after the MP2020 corrections -189.364 eV per cell. Number 3: E_form -261 kJ/mol of atoms, total energy after the MP2020 corrections -105.244 eV per cell. Number 4: E_form -306 kJ/mol of atoms, total energy after the MP2020 corrections -217.758 eV per cell. Number 5: E_form -221 kJ/mol of atoms, total energy after the MP2020 corrections -358.148 eV per cell. Number 6: E_form -257 kJ/mol of atoms, total energy after the MP2020 corrections -1647.871 eV per cell. Number 7: E_form -223 kJ/mol of atoms, total energy after the MP2020 corrections -383.094 eV per cell. Number 8: E_form -211 kJ/mol of atoms, total energy after the MP2020 corrections -78.641 eV per cell.